Record 1
Here is an optimized crystal structure of Rb3Mo4P4O22 from the Materials Project database. Energies are from PBE with a Hubbard U.

Output
**DFT formation energy**: -2.412 eV/atom
**Excess energy over the best structure of this formula in the dataset**: 0.000 eV/atom

Geometry as POSCAR:
```
Rb3Mo4P4O22
1.0
7.248 -7.283 0.000
7.248 7.283 0.000
0.000 0.000 19.603
O Rb P Mo
88 12 16 16
Direct
0.613 0.014 0.216 O
0.344 0.235 0.752 O
0.854 0.749 0.135 O
0.645 0.250 0.614 O
0.317 0.095 0.858 O
0.014 0.613 0.784 O
0.114 0.477 0.036 O
0.092 0.485 0.626 O
0.399 0.814 0.607 O
0.722 0.481 0.265 O
0.251 0.146 0.365 O
0.407 0.986 0.122 O
0.322 0.233 0.142 O
0.387 0.986 0.716 O
0.362 0.050 0.262 O
0.523 0.886 0.464 O
0.628 0.433 0.514 O
0.793 0.023 0.104 O
0.844 0.262 0.499 O
0.146 0.251 0.635 O
0.095 0.317 0.142 O
0.638 0.950 0.762 O
0.278 0.519 0.765 O
0.287 0.480 0.146 O
0.136 0.555 0.490 O
0.477 0.114 0.964 O
0.765 0.656 0.748 O
0.355 0.750 0.114 O
0.864 0.445 0.990 O
0.050 0.362 0.738 O
0.186 0.601 0.893 O
0.683 0.905 0.358 O
0.318 0.907 0.364 O
0.879 0.931 0.235 O
0.819 0.593 0.890 O
0.433 0.628 0.486 O
0.931 0.879 0.765 O
0.171 0.730 0.605 O
0.950 0.638 0.238 O
0.986 0.387 0.284 O
0.986 0.407 0.878 O
0.515 0.908 0.874 O
0.520 0.713 0.354 O
0.829 0.270 0.105 O
0.235 0.344 0.248 O
0.907 0.318 0.636 O
0.481 0.722 0.735 O
0.022 0.231 0.013 O
0.567 0.372 0.986 O
0.270 0.829 0.895 O
0.593 0.819 0.110 O
0.908 0.515 0.126 O
0.767 0.678 0.358 O
0.233 0.322 0.858 O
0.678 0.767 0.642 O
0.372 0.567 0.014 O
0.480 0.287 0.854 O
0.750 0.355 0.886 O
0.093 0.682 0.136 O
0.905 0.683 0.642 O
0.407 0.181 0.610 O
0.069 0.121 0.265 O
0.814 0.399 0.393 O
0.730 0.171 0.395 O
0.231 0.022 0.987 O
0.014 0.593 0.378 O
0.485 0.092 0.374 O
0.156 0.738 0.999 O
0.262 0.844 0.501 O
0.749 0.854 0.865 O
0.769 0.978 0.487 O
0.977 0.207 0.396 O
0.601 0.186 0.107 O
0.445 0.864 0.010 O
0.886 0.523 0.536 O
0.682 0.093 0.864 O
0.555 0.136 0.510 O
0.593 0.014 0.622 O
0.978 0.769 0.513 O
0.121 0.069 0.735 O
0.738 0.156 0.001 O
0.713 0.520 0.646 O
0.181 0.407 0.390 O
0.519 0.278 0.235 O
0.250 0.645 0.386 O
0.656 0.765 0.252 O
0.207 0.977 0.604 O
0.023 0.793 0.896 O
0.487 0.612 0.871 Rb
0.289 0.711 0.250 Rb
0.792 0.792 0.000 Rb
0.388 0.513 0.629 Rb
0.711 0.289 0.750 Rb
0.987 0.887 0.375 Rb
0.513 0.388 0.371 Rb
0.013 0.113 0.875 Rb
0.887 0.987 0.625 Rb
0.612 0.487 0.129 Rb
0.113 0.013 0.125 Rb
0.208 0.208 0.500 Rb
0.142 0.547 0.410 P
0.547 0.142 0.590 P
0.356 0.047 0.341 P
0.261 0.844 0.580 P
0.844 0.261 0.420 P
0.344 0.236 0.831 P
0.156 0.739 0.920 P
0.453 0.858 0.090 P
0.739 0.156 0.080 P
0.656 0.764 0.331 P
0.047 0.356 0.659 P
0.953 0.644 0.159 P
0.644 0.953 0.841 P
0.858 0.453 0.910 P
0.236 0.344 0.169 P
0.764 0.656 0.669 P
0.983 0.367 0.061 Mo
0.255 0.104 0.686 Mo
0.017 0.633 0.561 Mo
0.367 0.983 0.939 Mo
0.104 0.255 0.314 Mo
0.244 0.608 0.065 Mo
0.745 0.896 0.186 Mo
0.138 0.483 0.810 Mo
0.517 0.862 0.690 Mo
0.633 0.017 0.439 Mo
0.756 0.392 0.565 Mo
0.392 0.756 0.435 Mo
0.608 0.244 0.935 Mo
0.896 0.745 0.814 Mo
0.862 0.517 0.310 Mo
0.483 0.138 0.190 Mo
```

=====

Record 2
Here is an optimized crystal structure of Na4MgMo2O8 from the Materials Project database. Energies are from PBE with a Hubbard U.

Output
**DFT formation energy**: -1.903 eV/atom
**Excess energy over the best structure of this formula in the dataset**: 0.142 eV/atom

Geometry as POSCAR:
```
Na4MgMo2O8
1.0
-0.248 -6.672 -1.239
4.280 -2.600 -4.245
4.878 -3.815 2.179
Na O Mg Mo
4 8 1 2
Direct
0.000 0.000 0.000 Na
0.000 0.000 0.500 Na
0.000 0.500 0.000 Na
0.500 0.000 0.000 Na
0.265 0.272 0.691 O
0.265 0.691 0.272 O
0.735 0.728 0.728 O
0.265 0.272 0.272 O
0.776 0.241 0.241 O
0.224 0.759 0.759 O
0.735 0.309 0.728 O
0.735 0.728 0.309 O
0.000 0.500 0.500 Mg
0.453 0.349 0.349 Mo
0.547 0.651 0.651 Mo
```